1) Compound: Li3V3P8O29
Source: Materials Project
Functional: GGA+U
Structure: relaxed

- ρ (Mg/m³) = 2.5
- space-group type = No. 158
- M_tot (μB/f.u.) = 0.000

a = 9.7807 Å, b = 9.7807 Å, c = 14.2284 Å
α = 90.00°, β = 90.00°, γ = 120.00°
Last column: nearest neighbours and their distance in Å.
Fractional positions:
Li 0.1079 0.3530 0.0000  3 O 1.89-2.08
Li 0.1079 0.7549 0.5000  3 O 1.89-2.08
Li 0.2451 0.3530 0.5000  3 O 1.89-2.08
Li 0.2451 0.8921 0.0000  3 O 1.89-2.08
Li 0.6470 0.7549 0.0000  3 O 1.89-2.08
Li 0.6470 0.8921 0.5000  3 O 1.89-2.08
V 0.3347 0.1018 0.8058  6 O 1.84-1.99
V 0.3347 0.2329 0.3058  6 O 1.84-1.99
V 0.7671 0.1018 0.3058  6 O 1.84-1.99
V 0.7671 0.6653 0.8058  6 O 1.84-1.99
V 0.8982 0.2329 0.8058  6 O 1.84-1.99
V 0.8982 0.6653 0.3058  6 O 1.84-1.99
P 0.0000 0.0000 0.4276  4 O 1.49-1.58
P 0.0000 0.0000 0.9276  4 O 1.49-1.58
P 0.0184 0.4382 0.3971  4 O 1.48-1.63
P 0.0184 0.5802 0.8971  4 O 1.48-1.63
P 0.1037 0.3496 0.2156  4 O 1.47-1.60
P 0.1037 0.7541 0.7156  4 O 1.47-1.60
P 0.2459 0.3496 0.7156  4 O 1.47-1.60
P 0.2459 0.8963 0.2156  4 O 1.47-1.60
P 0.4198 0.4382 0.8971  4 O 1.48-1.63
P 0.4198 0.9816 0.3971  4 O 1.48-1.63
P 0.5618 0.5802 0.3971  4 O 1.48-1.63
P 0.5618 0.9816 0.8971  4 O 1.48-1.63
P 0.6504 0.7541 0.2156  4 O 1.47-1.60
P 0.6504 0.8963 0.7156  4 O 1.47-1.60
P 0.6667 0.3333 0.1882  4 O 1.47-1.59
P 0.6667 0.3333 0.6882  4 O 1.47-1.59
O 0.0000 0.0000 0.0321  1 P 1.49
O 0.0000 0.0000 0.5321  1 P 1.49
O 0.0012 0.1513 0.8867  1 P 1.58
O 0.0012 0.8500 0.3867  1 P 1.58
O 0.0771 0.3246 0.7280  1 P 1.55
O 0.0771 0.7525 0.2280  1 P 1.55
O 0.0933 0.4139 0.1239  1 P 1.47
O 0.0933 0.6794 0.6239  1 P 1.47
O 0.1042 0.4291 0.4802  1 P 1.48
O 0.1042 0.6751 0.9802  1 P 1.48
O 0.1188 0.4634 0.3010  2 P 1.60-1.63
O 0.1188 0.6554 0.8010  2 P 1.60-1.63
O 0.1500 0.1513 0.3867  1 P 1.58
O 0.1500 0.9988 0.8867  1 P 1.58
O 0.2369 0.0491 0.2372  1 P 1.57
O 0.2369 0.1878 0.7372  1 P 1.57
O 0.2475 0.3246 0.2280  1 P 1.55
O 0.2475 0.9229 0.7280  1 P 1.55
O 0.3206 0.4139 0.6239  1 P 1.47
O 0.3206 0.9067 0.1239  1 P 1.47
O 0.3249 0.4291 0.9802  1 P 1.48
O 0.3249 0.8958 0.4802  1 P 1.48
O 0.3446 0.4634 0.8010  2 P 1.60-1.63
O 0.3446 0.8812 0.3010  2 P 1.60-1.63
O 0.4172 0.0071 0.8973  1 P 1.55
O 0.4172 0.4101 0.3973  1 P 1.55
O 0.4274 0.1427 0.3798  1 P 1.56
O 0.4274 0.2847 0.8798  1 P 1.56
O 0.5172 0.1861 0.7332  1 P 1.59
O 0.5172 0.3310 0.2332  1 P 1.59
O 0.5366 0.6554 0.3010  2 P 1.60-1.63
O 0.5366 0.8812 0.8010  2 P 1.60-1.63
O 0.5709 0.6751 0.4802  1 P 1.48
O 0.5709 0.8958 0.9802  1 P 1.48
O 0.5861 0.6794 0.1239  1 P 1.47
O 0.5861 0.9067 0.6239  1 P 1.47
O 0.5899 0.0071 0.3973  1 P 1.55
O 0.5899 0.5828 0.8973  1 P 1.55
O 0.6667 0.3333 0.0847  1 P 1.47
O 0.6667 0.3333 0.5847  1 P 1.47
O 0.6690 0.1861 0.2332  1 P 1.59
O 0.6690 0.4828 0.7332  1 P 1.59
O 0.6754 0.7525 0.7280  1 P 1.55
O 0.6754 0.9229 0.2280  1 P 1.55
O 0.7153 0.1427 0.8798  1 P 1.56
O 0.7153 0.5726 0.3798  1 P 1.56
O 0.8122 0.0491 0.7372  1 P 1.57
O 0.8122 0.7631 0.2372  1 P 1.57
O 0.8139 0.3310 0.7332  1 P 1.59
O 0.8139 0.4828 0.2332  1 P 1.59
O 0.8487 0.8500 0.8867  1 P 1.58
O 0.8487 0.9988 0.3867  1 P 1.58
O 0.8573 0.2847 0.3798  1 P 1.56
O 0.8573 0.5726 0.8798  1 P 1.56
O 0.9509 0.1878 0.2372  1 P 1.57
O 0.9509 0.7631 0.7372  1 P 1.57
O 0.9929 0.4101 0.8973  1 P 1.55
O 0.9929 0.5828 0.3973  1 P 1.55

2) Compound: Li3V3P8O29
Source: Materials Project
Functional: GGA+U
Structure: relaxed

- ρ (Mg/m³) = 2.5
- space-group type = No. 1
- M_tot (μB/f.u.) = 0.001

a = 9.7692 Å, b = 9.7861 Å, c = 14.3375 Å
α = 89.90°, β = 89.15°, γ = 60.10°
Last column: nearest neighbours and their distance in Å.
Fractional positions:
Li 0.0000 0.0000 0.0000  3 O 1.88-2.10
Li 0.0009 0.1383 0.4988  2 O 1.87-1.89
Li 0.3891 0.6054 0.5012  3 O 1.90-2.03
Li 0.5304 0.6034 0.9927  2 O 1.86-1.96
Li 0.6139 0.8352 0.8777  3 O 1.90-2.07
Li 0.6159 0.6969 0.3860  2 O 1.87-1.98
V 0.3022 0.4796 0.6944  6 O 1.82-2.01
V 0.3088 0.3467 0.1894  6 O 1.87-1.91
V 0.7351 0.9243 0.6835  6 O 1.82-2.02
V 0.7423 0.4786 0.1889  6 O 1.84-1.95
V 0.8742 0.9108 0.1942  6 O 1.83-2.00
V 0.8801 0.3468 0.6942  6 O 1.82-1.95
P 0.0803 0.8275 0.6036  4 O 1.48-1.62
P 0.0828 0.2292 0.1027  4 O 1.47-1.63
P 0.2229 0.6859 0.1041  4 O 1.48-1.63
P 0.2259 0.2271 0.5976  4 O 1.47-1.62
P 0.3892 0.1438 0.7816  4 O 1.47-1.61
P 0.3931 0.5969 0.2843  4 O 1.48-1.61
P 0.5308 0.0033 0.2766  4 O 1.48-1.62
P 0.5357 0.5947 0.7790  4 O 1.50-1.61
P 0.6278 0.8259 0.0966  4 O 1.48-1.61
P 0.6299 0.6816 0.6011  4 O 1.50-1.62
P 0.6423 0.2562 0.5707  4 O 1.48-1.62
P 0.6439 0.2473 0.0717  4 O 1.49-1.61
P 0.9641 0.5901 0.8097  4 O 1.48-1.61
P 0.9707 0.5804 0.3084  4 O 1.48-1.60
P 0.9854 0.0017 0.7834  4 O 1.47-1.61
P 0.9863 0.1461 0.2818  4 O 1.47-1.60
O 0.0467 0.1562 0.3736  1 P 1.47
O 0.0492 0.9324 0.8750  1 P 1.47
O 0.0524 0.8295 0.1035  1 P 1.55
O 0.0534 0.2541 0.6054  1 P 1.57
O 0.0713 0.1450 0.0208  1 P 1.47
O 0.0738 0.9232 0.5219  1 P 1.48
O 0.1035 0.8992 0.6999  2 P 1.61-1.62
O 0.1036 0.1310 0.1981  2 P 1.60-1.63
O 0.1171 0.5841 0.7650  1 P 1.59
O 0.1201 0.4366 0.2643  1 P 1.56
O 0.2163 0.3893 0.6202  1 P 1.58
O 0.2163 0.5319 0.1182  1 P 1.55
O 0.2228 0.6575 0.6026  1 P 1.55
O 0.2243 0.2580 0.1060  1 P 1.54
O 0.2948 0.7109 0.2000  2 P 1.61-1.63
O 0.3073 0.1240 0.6897  2 P 1.61-1.62
O 0.3077 0.1505 0.8696  1 P 1.47
O 0.3075 0.1520 0.5098  1 P 1.47
O 0.3180 0.6819 0.0215  1 P 1.48
O 0.3214 0.6647 0.3768  1 P 1.48
O 0.3910 0.1734 0.2727  1 P 1.54
O 0.3915 0.5714 0.7737  1 P 1.54
O 0.3995 0.2980 0.7614  1 P 1.59
O 0.4008 0.4379 0.2624  1 P 1.55
O 0.4906 0.4043 0.6112  1 P 1.57
O 0.4939 0.2507 0.1165  1 P 1.58
O 0.5113 0.9246 0.1817  2 P 1.61-1.62
O 0.5174 0.7038 0.6904  2 P 1.61-1.62
O 0.5390 0.9097 0.3594  1 P 1.48
O 0.5449 0.6727 0.8666  1 P 1.50
O 0.5513 0.6741 0.5138  1 P 1.50
O 0.5613 0.9998 0.7733  1 P 1.57
O 0.5616 0.5777 0.2748  1 P 1.56
O 0.5630 0.8959 0.0046  1 P 1.48
O 0.6409 0.4004 0.1150  1 P 1.61
O 0.6424 0.1045 0.6153  1 P 1.62
O 0.6418 0.2617 0.9685  1 P 1.49
O 0.6471 0.6578 0.1052  1 P 1.56
O 0.6490 0.2501 0.4672  1 P 1.48
O 0.6519 0.8274 0.6067  1 P 1.55
O 0.6873 0.0100 0.2613  1 P 1.57
O 0.6893 0.4350 0.7621  1 P 1.55
O 0.7865 0.8182 0.1193  1 P 1.55
O 0.7885 0.5307 0.6179  1 P 1.54
O 0.7928 0.0975 0.1095  1 P 1.57
O 0.7928 0.2515 0.6119  1 P 1.57
O 0.8162 0.7377 0.7695  1 P 1.56
O 0.8194 0.5825 0.2672  1 P 1.59
O 0.8259 0.0109 0.7604  1 P 1.56
O 0.8256 0.2968 0.2589  1 P 1.57
O 0.9242 0.8212 0.6176  1 P 1.57
O 0.9276 0.3922 0.1197  1 P 1.58
O 0.9597 0.5894 0.4115  1 P 1.48
O 0.9619 0.5840 0.9128  1 P 1.48
O 0.9632 0.1695 0.7688  1 P 1.56
O 0.9635 0.0013 0.2680  1 P 1.55
O 0.9670 0.4386 0.7643  1 P 1.61
O 0.9689 0.7317 0.2642  1 P 1.60

Stability check: which of them is least stable? 2).

1) Compound: Li3V3P8O29
Source: Materials Project
Functional: GGA+U
Structure: relaxed

- ρ (Mg/m³) = 2.5
- space-group type = No. 1
- M_tot (μB/f.u.) = 0.000

a = 9.7130 Å, b = 9.7750 Å, c = 14.2653 Å
α = 88.84°, β = 89.93°, γ = 60.23°
Last column: nearest neighbours and their distance in Å.
Fractional positions:
Li 0.0000 0.0000 0.0000  3 O 1.92-2.11
Li 0.0453 0.9367 0.5041  4 O 2.14-2.29
Li 0.1398 0.6078 0.5641  2 O 1.91-1.97
Li 0.2731 0.6276 0.0687  3 O 1.89-2.07
Li 0.3892 0.2551 0.9023  1 O 1.86
Li 0.9488 0.2678 0.4440  3 O 1.95-2.16
V 0.0372 0.5078 0.7586  6 O 1.81-1.95
V 0.0467 0.3739 0.2480  6 O 1.82-1.97
V 0.4779 0.9393 0.7494  6 O 1.85-2.04
V 0.4857 0.5036 0.2577  6 O 1.81-2.01
V 0.6025 0.9399 0.2557  6 O 1.87-1.91
V 0.6109 0.3696 0.7535  6 O 1.84-2.01
P 0.1329 0.6211 0.3479  4 O 1.48-1.60
P 0.1352 0.1543 0.8429  4 O 1.47-1.63
P 0.2596 0.0216 0.3471  4 O 1.48-1.61
P 0.2704 0.6191 0.8516  4 O 1.48-1.60
P 0.3437 0.8590 0.1624  4 O 1.47-1.62
P 0.3451 0.7192 0.6695  4 O 1.49-1.62
P 0.3713 0.2804 0.6366  4 O 1.48-1.58
P 0.3782 0.2774 0.1357  4 O 1.49-1.59
P 0.7038 0.6060 0.8730  4 O 1.47-1.59
P 0.7174 0.6013 0.3723  4 O 1.48-1.60
P 0.7387 0.1562 0.3437  4 O 1.49-1.61
P 0.7401 0.0226 0.8476  4 O 1.47-1.62
P 0.8181 0.2486 0.1603  4 O 1.47-1.61
P 0.8244 0.8603 0.6624  4 O 1.47-1.61
P 0.9529 0.7243 0.1687  4 O 1.48-1.62
P 0.9571 0.2533 0.6618  4 O 1.48-1.60
O 0.0206 0.1811 0.5700  1 P 1.48
O 0.0281 0.7431 0.2659  2 P 1.60-1.62
O 0.0463 0.7321 0.0888  1 P 1.48
O 0.0515 0.1385 0.9245  1 P 1.47
O 0.0571 0.1361 0.7466  2 P 1.60-1.63
O 0.0735 0.6950 0.4401  1 P 1.48
O 0.1253 0.5926 0.8363  1 P 1.57
O 0.1279 0.1994 0.3371  1 P 1.57
O 0.1299 0.4671 0.3308  1 P 1.54
O 0.1402 0.3125 0.8339  1 P 1.57
O 0.2231 0.4282 0.6788  1 P 1.58
O 0.2266 0.2784 0.1787  1 P 1.59
O 0.2323 0.9499 0.4322  1 P 1.48
O 0.2363 0.7387 0.5907  1 P 1.49
O 0.2408 0.9391 0.2548  2 P 1.61-1.62
O 0.2495 0.9331 0.0767  1 P 1.47
O 0.2545 0.7383 0.7679  2 P 1.60-1.62
O 0.2627 0.6928 0.9422  1 P 1.48
O 0.3057 0.5863 0.3306  1 P 1.56
O 0.3119 0.0213 0.8365  1 P 1.56
O 0.3680 0.2900 0.5329  1 P 1.48
O 0.3719 0.2777 0.0313  1 P 1.49
O 0.3744 0.4281 0.1719  1 P 1.55
O 0.3749 0.1304 0.6822  1 P 1.58
O 0.3868 0.8544 0.6713  1 P 1.56
O 0.3897 0.6808 0.1709  1 P 1.57
O 0.4189 0.4556 0.8357  1 P 1.55
O 0.4241 0.0129 0.3351  1 P 1.57
O 0.4991 0.5585 0.6775  1 P 1.54
O 0.5002 0.8655 0.1775  1 P 1.57
O 0.5200 0.1295 0.1826  1 P 1.56
O 0.5200 0.2773 0.6833  1 P 1.58
O 0.5682 0.6013 0.3246  1 P 1.60
O 0.5682 0.7578 0.8233  1 P 1.57
O 0.5765 0.0304 0.8365  1 P 1.56
O 0.5828 0.3194 0.3326  1 P 1.57
O 0.6582 0.4029 0.1747  1 P 1.55
O 0.6600 0.8700 0.6747  1 P 1.56
O 0.6929 0.0261 0.3384  1 P 1.55
O 0.6932 0.4675 0.8268  1 P 1.57
O 0.6980 0.2001 0.8359  1 P 1.58
O 0.7059 0.6045 0.9761  1 P 1.47
O 0.7116 0.7507 0.3258  1 P 1.57
O 0.7127 0.5967 0.4759  1 P 1.48
O 0.7782 0.8573 0.1719  1 P 1.54
O 0.7839 0.2868 0.6755  1 P 1.56
O 0.8382 0.1371 0.2497  2 P 1.61
O 0.8377 0.1618 0.0740  1 P 1.47
O 0.8376 0.9494 0.9325  1 P 1.47
O 0.8404 0.1434 0.4250  1 P 1.49
O 0.8435 0.9392 0.7558  2 P 1.61-1.62
O 0.8523 0.9312 0.5774  1 P 1.47
O 0.8589 0.5956 0.8280  1 P 1.59
O 0.8634 0.4514 0.3328  1 P 1.56
O 0.9512 0.2926 0.1748  1 P 1.57
O 0.9560 0.6811 0.6714  1 P 1.58
O 0.9566 0.5623 0.1787  1 P 1.57
O 0.9580 0.4082 0.6806  1 P 1.55

2) Compound: Li3V3P8O29
Source: Materials Project
Functional: GGA+U
Structure: relaxed

- ρ (Mg/m³) = 2.5
- space-group type = No. 5
- M_tot (μB/f.u.) = 0.000

a = 9.7825 Å, b = 9.7825 Å, c = 13.9730 Å
α = 90.01°, β = 90.01°, γ = 59.89°
Last column: nearest neighbours and their distance in Å.
Fractional positions:
Li 0.0454 0.0454 0.3036  2 O 1.86-1.89
Li 0.1734 0.5053 0.3050  3 O 1.91-2.13
Li 0.4948 0.4152 0.1884  3 O 1.94-2.04
Li 0.4947 0.8266 0.6950  3 O 1.91-2.13
Li 0.5848 0.5052 0.8116  3 O 1.94-2.04
Li 0.9546 0.9546 0.6964  2 O 1.86-1.89
V 0.2699 0.1643 0.9974  6 O 1.86-1.90
V 0.2706 0.2963 0.5076  6 O 1.83-1.99
V 0.7027 0.2973 0.0000  6 O 1.84-1.95
V 0.7037 0.7294 0.4924  6 O 1.83-1.99
V 0.8316 0.1684 0.5000  6 O 1.83-1.97
V 0.8357 0.7301 0.0026  6 O 1.86-1.90
P 0.0352 0.6484 0.5933  4 O 1.47-1.63
P 0.0416 0.0491 0.0906  4 O 1.48-1.61
P 0.1812 0.5011 0.0903  4 O 1.50-1.60
P 0.1825 0.0452 0.5934  4 O 1.47-1.61
P 0.3521 0.4196 0.9048  4 O 1.47-1.64
P 0.3516 0.9648 0.4067  4 O 1.47-1.63
P 0.4943 0.4161 0.4079  4 O 1.47-1.62
P 0.4989 0.8188 0.9097  4 O 1.50-1.60
P 0.5804 0.6479 0.0952  4 O 1.47-1.64
P 0.5839 0.5057 0.5921  4 O 1.47-1.62
P 0.6001 0.0664 0.1211  4 O 1.49-1.61
P 0.6042 0.0608 0.6217  4 O 1.48-1.60
P 0.9336 0.3999 0.8789  4 O 1.49-1.61
P 0.9392 0.3958 0.3783  4 O 1.48-1.60
P 0.9509 0.9584 0.9094  4 O 1.48-1.61
P 0.9548 0.8175 0.4066  4 O 1.47-1.61
O 0.0117 0.0711 0.5897  1 P 1.56
O 0.0126 0.6456 0.0867  1 P 1.54
O 0.0193 0.9728 0.8183  1 P 1.48
O 0.0271 0.7369 0.6800  1 P 1.47
O 0.0272 0.9807 0.1817  1 P 1.48
O 0.0340 0.7267 0.3199  1 P 1.47
O 0.0593 0.7345 0.5006  2 P 1.61-1.63
O 0.0618 0.9382 0.0000  2 P 1.61
O 0.0816 0.2526 0.9228  1 P 1.57
O 0.0850 0.4006 0.4203  1 P 1.56
O 0.1719 0.2088 0.5749  1 P 1.57
O 0.1731 0.3493 0.0729  1 P 1.55
O 0.1780 0.4768 0.5848  1 P 1.56
O 0.1834 0.0758 0.0826  1 P 1.54
O 0.2631 0.9729 0.3200  1 P 1.47
O 0.2655 0.9407 0.4994  2 P 1.61-1.63
O 0.2675 0.4888 0.1819  1 P 1.50
O 0.2680 0.5004 0.8166  1 P 1.47
O 0.2733 0.9660 0.6801  1 P 1.47
O 0.2735 0.5225 0.0022  2 P 1.60-1.64
O 0.3486 0.3935 0.4134  1 P 1.55
O 0.3544 0.9874 0.9133  1 P 1.54
O 0.3590 0.1174 0.4287  1 P 1.56
O 0.3595 0.2587 0.9255  1 P 1.57
O 0.4517 0.0692 0.0748  1 P 1.58
O 0.4549 0.2128 0.5765  1 P 1.60
O 0.4751 0.5249 0.5000  2 P 1.62
O 0.4775 0.7265 0.9978  2 P 1.60-1.64
O 0.4996 0.7320 0.1834  1 P 1.47
O 0.5084 0.4831 0.3168  1 P 1.47
O 0.5112 0.7325 0.8181  1 P 1.50
O 0.5169 0.4916 0.6832  1 P 1.47
O 0.5232 0.8220 0.4152  1 P 1.56
O 0.5245 0.3923 0.9112  1 P 1.57
O 0.5966 0.0755 0.2274  1 P 1.49
O 0.5977 0.2210 0.0797  1 P 1.61
O 0.5994 0.9150 0.5797  1 P 1.56
O 0.6043 0.0637 0.7277  1 P 1.48
O 0.6065 0.6514 0.5866  1 P 1.55
O 0.6077 0.4755 0.0888  1 P 1.57
O 0.6485 0.2538 0.4303  1 P 1.58
O 0.6507 0.8269 0.9271  1 P 1.55
O 0.7413 0.6405 0.0745  1 P 1.57
O 0.7462 0.3515 0.5697  1 P 1.58
O 0.7474 0.9184 0.0772  1 P 1.57
O 0.7552 0.0620 0.5793  1 P 1.60
O 0.7790 0.4023 0.9203  1 P 1.61
O 0.7872 0.5451 0.4235  1 P 1.60
O 0.7897 0.1137 0.9297  1 P 1.57
O 0.7912 0.8281 0.4251  1 P 1.57
O 0.8826 0.6410 0.5713  1 P 1.56
O 0.8863 0.2103 0.0703  1 P 1.57
O 0.9245 0.4034 0.7726  1 P 1.49
O 0.9242 0.8166 0.9174  1 P 1.54
O 0.9289 0.9883 0.4103  1 P 1.56
O 0.9308 0.5483 0.9252  1 P 1.58
O 0.9363 0.3957 0.2723  1 P 1.48
O 0.9380 0.2448 0.4207  1 P 1.60

Stability check: which of them is least stable? 2).